The following is a PBE calculation of CePbO3 after structural relaxation, from Materials Project.

The value obtained for the formation energy from the elements is -2.568 eV/atom. The calculation puts the magnetic moment at 0.000 μB per atom. The value obtained for the total energy after the MP2020 corrections is -7.47 eV per atom.

The structure belongs to space group Cmcm (No. 63); the cell edges are 10.579, 8.734 and 7.817 Å and the angles 90.00°, 90.00° and 90.00°. Symmetry generates all atoms from Ce at (0.000, 0.029, 0.250), Ce at (0.000, 0.451, 0.250), Pb at (0.250, 0.250, 0.000), O at (0.000, 0.143, 0.564), O at (0.125, 0.243, 0.250) and O at (0.129, 0.500, 0.000).



The following is a PBE calculation of CePrO2 after structural relaxation, from Materials Project.

The value obtained for the formation energy from the elements is -3.132 eV/atom. The calculation puts the magnetic moment at 0.102 μB per atom. The value obtained for the total energy after the MP2020 corrections is -8.28 eV per atom.

The structure belongs to space group I4_1/amd (No. 141, origin choice 2); the cell edges are 5.048, 5.048 and 10.082 Å and the angles 90.00°, 90.00° and 90.00°. Symmetry generates all atoms from Ce at (0.000, 0.250, 0.375), Pr at (0.000, 0.250, 0.875) and O at (0.000, 0.250, 0.127).



The following is a PBE calculation of CePr4O10 after structural relaxation, from Materials Project.

The value obtained for the formation energy from the elements is -3.198 eV/atom. The calculation puts the magnetic moment at 0.267 μB per atom. The value obtained for the total energy after the MP2020 corrections is -8.17 eV per atom.

The structure belongs to space group I4/mmm (No. 139); the cell edges are 3.950, 3.950 and 29.266 Å and the angles 90.00°, 90.00° and 90.00°. Symmetry generates all atoms from Ce at (0.000, 0.000, 0.000), Pr at (0.000, 0.000, 0.199), Pr at (0.000, 0.000, 0.405), O at (0.000, 0.500, 0.046), O at (0.000, 0.500, 0.147) and O at (0.000, 0.500, 0.250).



The following is a PBE calculation of Ce2PrO6 after structural relaxation, from Materials Project.

The value obtained for the formation energy from the elements is -3.614 eV/atom. The calculation puts the magnetic moment at 0.111 μB per atom. The value obtained for the total energy after the MP2020 corrections is -8.76 eV per atom.

The structure belongs to space group Immm (No. 71); the cell edges are 3.920, 5.556 and 11.768 Å and the angles 90.00°, 90.00° and 90.00°. Symmetry generates all atoms from Ce at (0.000, 0.000, 0.168), Pr at (0.000, 0.000, 0.500), O at (0.000, 0.235, 0.000) and O at (0.000, 0.257, 0.329).



The following is a PBE calculation of CePr2O6 after structural relaxation, from Materials Project.

The value obtained for the formation energy from the elements is -3.321 eV/atom. The calculation puts the magnetic moment at 0.222 μB per atom. The value obtained for the total energy after the MP2020 corrections is -8.34 eV per atom.

The structure belongs to space group I4/mmm (No. 139); the cell edges are 3.935, 3.935 and 17.353 Å and the angles 90.00°, 90.00° and 90.00°. Symmetry generates all atoms from Ce at (0.000, 0.000, 0.000), Pr at (0.000, 0.000, 0.339), O at (0.000, 0.500, 0.077) and O at (0.000, 0.500, 0.250).



The following is a PBE calculation of CePrO2 after structural relaxation, from Materials Project.

The value obtained for the formation energy from the elements is -3.134 eV/atom. The calculation puts the magnetic moment at 0.139 μB per atom. The value obtained for the total energy after the MP2020 corrections is -8.29 eV per atom.

The structure belongs to space group R-3m (No. 166, hexagonal axes); the cell edges are 3.5752, 3.5752 and 17.4157 Å and the angles 90.00°, 90.00° and 120.00°. Symmetry generates all atoms from Ce at (0.0000, 0.0000, 0.0000), Pr at (0.0000, 0.0000, 0.5000) and O at (0.0000, 0.0000, 0.2547).



Question: Among the records above, which one has the lowest formation energy from the elements?
Answer: Ce2PrO6